Record 1
# PBE Zn6Sb5, relaxed
data_Zn6Sb5
_cell_length_a 12.2861
_cell_length_b 12.2861
_cell_length_c 12.4474
_cell_angle_alpha 90.00
_cell_angle_beta 90.00
_cell_angle_gamma 120.00
_symmetry_space_group_name_H-M 'R -3 c'
_symmetry_Int_Tables_number 167
_symmetry_space_group_name_Hall '-R 3 2"c'
loop_
_atom_site_label
_atom_site_type_symbol
_atom_site_fract_x
_atom_site_fract_y
_atom_site_fract_z
_atom_site_occupancy
Zn1 Zn 0.0793 0.2436 0.4031 1
Sb1 Sb 0.0000 0.0000 0.1359 1
Sb2 Sb 0.0000 0.3555 0.2500 1
# - energy relative to the elements (eV per atom) = -0.091
# - ΔE to the lowest computed polymorph (meV/atom) = 0
# - MP2020-corrected energy (eV per cell) = -175.20

Record 2
# PBE ZnSb2, relaxed
data_ZnSb2
_cell_length_a 6.9268
_cell_length_b 6.9268
_cell_length_c 3.2211
_cell_angle_alpha 90.00
_cell_angle_beta 90.00
_cell_angle_gamma 90.00
_symmetry_space_group_name_H-M 'P -4 n 2'
_symmetry_Int_Tables_number 118
loop_
_symmetry_equiv_pos_as_xyz
'x,y,z'
'y,-x,-z'
'-x,-y,z'
'-y,x,-z'
'-x+1/2,y+1/2,z+1/2'
'-y+1/2,-x+1/2,-z+1/2'
'x+1/2,-y+1/2,z+1/2'
'y+1/2,x+1/2,-z+1/2'
loop_
_atom_site_label
_atom_site_type_symbol
_atom_site_fract_x
_atom_site_fract_y
_atom_site_fract_z
_atom_site_occupancy
Zn1 Zn 0.0000 0.0000 0.0000 1
Sb1 Sb 0.1480 0.3520 0.2500 1
# - energy relative to the elements (eV per atom) = -0.049
# - MP2020-corrected energy (eV per cell) = -19.33

Record 3
# PBE Zn6Sb5, relaxed
data_Zn6Sb5
_cell_length_a 12.2596
_cell_length_b 12.2596
_cell_length_c 12.8302
_cell_angle_alpha 90.00
_cell_angle_beta 90.00
_cell_angle_gamma 120.00
_symmetry_space_group_name_H-M 'R -3 c'
_symmetry_Int_Tables_number 167
_symmetry_space_group_name_Hall '-R 3 2"c'
loop_
_atom_site_label
_atom_site_type_symbol
_atom_site_fract_x
_atom_site_fract_y
_atom_site_fract_z
_atom_site_occupancy
Zn1 Zn 0.0851 0.5380 0.4151 1
Sb1 Sb 0.0000 0.0000 0.1247 1
Sb2 Sb 0.0000 0.3706 0.2500 1
# - energy relative to the elements (eV per atom) = 0.098
# - ΔE to the lowest computed polymorph (meV/atom) = 188
# - MP2020-corrected energy (eV per cell) = -162.78

Record 4
# PBE Zn13Sb10, relaxed
data_Zn13Sb10
_cell_length_a 10.9837
_cell_length_b 12.4166
_cell_length_c 17.5921
_cell_angle_alpha 110.24
_cell_angle_beta 98.09
_cell_angle_gamma 90.13
_symmetry_space_group_name_H-M 'P -1'
_symmetry_Int_Tables_number 2
loop_
_symmetry_equiv_pos_as_xyz
'x,y,z'
'-x,-y,-z'
loop_
_atom_site_label
_atom_site_type_symbol
_atom_site_fract_x
_atom_site_fract_y
_atom_site_fract_z
_atom_site_occupancy
Zn1 Zn 0.0050 0.0805 0.0755 1
Zn2 Zn 0.0099 0.6661 0.7396 1
Zn3 Zn 0.0522 0.8972 0.4684 1
Zn4 Zn 0.0606 0.0574 0.7846 1
Zn5 Zn 0.0949 0.6353 0.1758 1
Zn6 Zn 0.1132 0.5534 0.5110 1
Zn7 Zn 0.1295 0.6919 0.9875 1
Zn8 Zn 0.1385 0.6281 0.3317 1
Zn9 Zn 0.1714 0.1889 0.7116 1
Zn10 Zn 0.1938 0.3478 0.0337 1
Zn11 Zn 0.2290 0.1713 0.4221 1
Zn12 Zn 0.2360 0.5813 0.7563 1
Zn13 Zn 0.2491 0.3251 0.5766 1
Zn14 Zn 0.2562 0.3020 0.2935 1
Zn15 Zn 0.2618 0.9227 0.2472 1
Zn16 Zn 0.2888 0.1303 0.9627 1
Zn17 Zn 0.3595 0.7822 0.0047 1
Zn18 Zn 0.3678 0.8611 0.6588 1
Zn19 Zn 0.3846 0.9531 0.4933 1
Zn20 Zn 0.3857 0.8749 0.8293 1
Zn21 Zn 0.4009 0.4735 0.2623 1
Zn22 Zn 0.4087 0.2436 0.1761 1
Zn23 Zn 0.4259 0.2795 0.8962 1
Zn24 Zn 0.4542 0.6091 0.5302 1
Zn25 Zn 0.4763 0.5631 0.1468 1
Zn26 Zn 0.4904 0.8489 0.2658 1
Sb1 Sb 0.0210 0.1573 0.3164 1
Sb2 Sb 0.0384 0.1527 0.9458 1
Sb3 Sb 0.0584 0.4554 0.6254 1
Sb4 Sb 0.0846 0.8355 0.3070 1
Sb5 Sb 0.1047 0.4624 0.9351 1
Sb6 Sb 0.1475 0.7833 0.5668 1
Sb7 Sb 0.1604 0.4272 0.1944 1
Sb8 Sb 0.1889 0.7910 0.8740 1
Sb9 Sb 0.2047 0.0951 0.5527 1
Sb10 Sb 0.2178 0.0845 0.1752 1
Sb11 Sb 0.2643 0.4007 0.8126 1
Sb12 Sb 0.2943 0.4083 0.4550 1
Sb13 Sb 0.3053 0.7145 0.1304 1
Sb14 Sb 0.3216 0.0687 0.7963 1
Sb15 Sb 0.3499 0.7208 0.4332 1
Sb16 Sb 0.3966 0.0172 0.0595 1
Sb17 Sb 0.4129 0.6584 0.6921 1
Sb18 Sb 0.4332 0.0529 0.3788 1
Sb19 Sb 0.4490 0.3392 0.0630 1
Sb20 Sb 0.4652 0.3239 0.6741 1
# - energy relative to the elements (eV per atom) = -0.097
# - MP2020-corrected energy (eV per cell) = -239.57

Record 5
# PBE ZnSb3, relaxed
data_ZnSb3
_cell_length_a 7.4026
_cell_length_b 7.4026
_cell_length_c 7.4026
_cell_angle_alpha 90.00
_cell_angle_beta 90.00
_cell_angle_gamma 90.00
_symmetry_space_group_name_H-M 'F m -3 m'
_symmetry_Int_Tables_number 225
_symmetry_space_group_name_Hall '-F 4 2 3'
loop_
_atom_site_label
_atom_site_type_symbol
_atom_site_fract_x
_atom_site_fract_y
_atom_site_fract_z
_atom_site_occupancy
Zn1 Zn 0.0000 0.0000 0.0000 1
Sb1 Sb 0.0000 0.0000 0.5000 1
Sb2 Sb 0.2500 0.2500 0.2500 1
# - energy relative to the elements (eV per atom) = 0.105
# - MP2020-corrected energy (eV per cell) = -52.90

Record 6
# PBE Zr11Sb18, relaxed
data_Zr11Sb18
_cell_length_a 6.8383
_cell_length_b 6.8383
_cell_length_c 60.5549
_cell_angle_alpha 90.00
_cell_angle_beta 90.00
_cell_angle_gamma 90.00
_symmetry_space_group_name_H-M 'I -4 2 d'
_symmetry_Int_Tables_number 122
_symmetry_space_group_name_Hall 'I -4 2bw'
loop_
_atom_site_label
_atom_site_type_symbol
_atom_site_fract_x
_atom_site_fract_y
_atom_site_fract_z
_atom_site_occupancy
Zr1 Zr 0.0000 0.0000 0.0000 1
Zr2 Zr 0.0000 0.0000 0.0889 1
Zr3 Zr 0.0000 0.0000 0.1832 1
Zr4 Zr 0.0000 0.0000 0.2740 1
Zr5 Zr 0.0000 0.0000 0.3629 1
Zr6 Zr 0.0000 0.0000 0.4522 1
Sb1 Sb 0.1535 0.7048 0.8463 1
Sb2 Sb 0.1546 0.2245 0.7650 1
Sb3 Sb 0.1574 0.1813 0.0423 1
Sb4 Sb 0.1574 0.7500 0.1250 1
Sb5 Sb 0.1610 0.6690 0.5693 1
# - energy relative to the elements (eV per atom) = -0.707
# - MP2020-corrected energy (eV per cell) = -755.45

Record 7
# PBE ZrSb3, relaxed
data_ZrSb3
_cell_length_a 6.4846
_cell_length_b 6.4846
_cell_length_c 5.5986
_cell_angle_alpha 90.00
_cell_angle_beta 90.00
_cell_angle_gamma 120.00
_symmetry_space_group_name_H-M 'P 63/m m c'
_symmetry_Int_Tables_number 194
_symmetry_space_group_name_Hall '-P 6c 2c'
loop_
_atom_site_label
_atom_site_type_symbol
_atom_site_fract_x
_atom_site_fract_y
_atom_site_fract_z
_atom_site_occupancy
Zr1 Zr 0.3333 0.6667 0.2500 1
Sb1 Sb 0.1774 0.3548 0.7500 1
# - energy relative to the elements (eV per atom) = -0.197
# - MP2020-corrected energy (eV per cell) = -43.44
# - M_tot (μB/cell) = 0.00

Record 8
# PBE ZrSb, relaxed
data_ZrSb
_cell_length_a 5.6920
_cell_length_b 5.6920
_cell_length_c 5.6920
_cell_angle_alpha 90.00
_cell_angle_beta 90.00
_cell_angle_gamma 90.00
_symmetry_space_group_name_H-M 'P 21 3'
_symmetry_Int_Tables_number 198
_symmetry_space_group_name_Hall 'P 2ac 2ab 3'
loop_
_atom_site_label
_atom_site_type_symbol
_atom_site_fract_x
_atom_site_fract_y
_atom_site_fract_z
_atom_site_occupancy
Zr1 Zr 0.1433 0.1433 0.1433 1
Sb1 Sb 0.1568 0.3432 0.6568 1
# - energy relative to the elements (eV per atom) = -0.808
# - MP2020-corrected energy (eV per cell) = -57.17

Record 9
# PBE Zr7Sb4, relaxed
data_Zr7Sb4
_cell_length_a 8.5571
_cell_length_b 11.2508
_cell_length_c 11.1942
_cell_angle_alpha 90.00
_cell_angle_beta 111.75
_cell_angle_gamma 90.00
_symmetry_space_group_name_H-M 'P 1 21/c 1'
_symmetry_Int_Tables_number 14
loop_
_symmetry_equiv_pos_as_xyz
'x,y,z'
'-x,-y,-z'
'-x,y+1/2,-z+1/2'
'x,-y+1/2,z+1/2'
loop_
_atom_site_label
_atom_site_type_symbol
_atom_site_fract_x
_atom_site_fract_y
_atom_site_fract_z
_atom_site_occupancy
Zr1 Zr 0.0112 0.0783 0.2105 1
Zr2 Zr 0.0137 0.2056 0.9304 1
Zr3 Zr 0.2029 0.0001 0.5553 1
Zr4 Zr 0.3396 0.7385 0.5180 1
Zr5 Zr 0.3540 0.2232 0.1721 1
Zr6 Zr 0.3660 0.0587 0.8653 1
Zr7 Zr 0.3985 0.5598 0.8409 1
Sb1 Sb 0.0121 0.1540 0.6617 1
Sb2 Sb 0.2266 0.5077 0.5616 1
Sb3 Sb 0.2856 0.6832 0.2520 1
Sb4 Sb 0.3196 0.1765 0.4210 1
# - energy relative to the elements (eV per atom) = -0.740
# - MP2020-corrected energy (eV per cell) = -337.96

Record 10
# PBE ZrSb, relaxed
data_ZrSb
_cell_length_a 3.8173
_cell_length_b 10.5459
_cell_length_c 14.2127
_cell_angle_alpha 90.00
_cell_angle_beta 90.00
_cell_angle_gamma 90.00
_symmetry_space_group_name_H-M 'C m c m'
_symmetry_Int_Tables_number 63
_symmetry_space_group_name_Hall '-C 2c 2'
loop_
_atom_site_label
_atom_site_type_symbol
_atom_site_fract_x
_atom_site_fract_y
_atom_site_fract_z
_atom_site_occupancy
Zr1 Zr 0.0000 0.0712 0.1082 1
Zr2 Zr 0.0000 0.3809 0.2500 1
Sb1 Sb 0.0000 0.3309 0.7500 1
Sb2 Sb 0.0000 0.3573 0.0491 1
# - energy relative to the elements (eV per atom) = -0.803
# - MP2020-corrected energy (eV per cell) = -171.40

Record 11
# PBE Zr2Sb, relaxed
data_Zr2Sb
_cell_length_a 4.1415
_cell_length_b 4.1415
_cell_length_c 15.9770
_cell_angle_alpha 90.00
_cell_angle_beta 90.00
_cell_angle_gamma 90.00
_symmetry_space_group_name_H-M 'I 4/m m m'
_symmetry_Int_Tables_number 139
_symmetry_space_group_name_Hall '-I 4 2'
loop_
_atom_site_label
_atom_site_type_symbol
_atom_site_fract_x
_atom_site_fract_y
_atom_site_fract_z
_atom_site_occupancy
Zr1 Zr 0.0000 0.0000 0.1775 1
Zr2 Zr 0.0000 0.5000 0.0000 1
Sb1 Sb 0.0000 0.0000 0.3616 1
# - energy relative to the elements (eV per atom) = -0.710
# - MP2020-corrected energy (eV per cell) = -93.41

Record 12
# PBE ZrSb2, relaxed
data_ZrSb2
_cell_length_a 10.0869
_cell_length_b 15.1117
_cell_length_c 3.9299
_cell_angle_alpha 90.00
_cell_angle_beta 90.00
_cell_angle_gamma 90.00
_symmetry_space_group_name_H-M 'P n n m'
_symmetry_Int_Tables_number 58
loop_
_symmetry_equiv_pos_as_xyz
'x,y,z'
'-x,-y,-z'
'-x,-y,z'
'x,y,-z'
'x+1/2,-y+1/2,-z+1/2'
'-x+1/2,y+1/2,z+1/2'
'-x+1/2,y+1/2,-z+1/2'
'x+1/2,-y+1/2,z+1/2'
loop_
_atom_site_label
_atom_site_type_symbol
_atom_site_fract_x
_atom_site_fract_y
_atom_site_fract_z
_atom_site_occupancy
Zr1 Zr 0.0213 0.2490 0.0000 1
Zr2 Zr 0.1687 0.9931 0.0000 1
Sb1 Sb 0.0116 0.1028 0.5000 1
Sb2 Sb 0.1169 0.4418 0.0000 1
Sb3 Sb 0.1602 0.6567 0.5000 1
Sb4 Sb 0.2308 0.3015 0.5000 1
# - energy relative to the elements (eV per atom) = -0.679
# - MP2020-corrected energy (eV per cell) = -150.73

Record 13
# PBE ScSe, relaxed
data_ScSe
_cell_length_a 5.4798
_cell_length_b 5.4798
_cell_length_c 5.4798
_cell_angle_alpha 90.00
_cell_angle_beta 90.00
_cell_angle_gamma 90.00
_symmetry_space_group_name_H-M 'F m -3 m'
_symmetry_Int_Tables_number 225
_symmetry_space_group_name_Hall '-F 4 2 3'
loop_
_atom_site_label
_atom_site_type_symbol
_atom_site_fract_x
_atom_site_fract_y
_atom_site_fract_z
_atom_site_occupancy
Sc1 Sc 0.0000 0.0000 0.0000 1
Se1 Se 0.0000 0.0000 0.5000 1
# - energy relative to the elements (eV per atom) = -1.825
# - MP2020-corrected energy (eV per cell) = -53.91

Record 14
# PBE ScSe2, relaxed
data_ScSe2
_cell_length_a 3.9509
_cell_length_b 3.9509
_cell_length_c 7.9333
_cell_angle_alpha 90.00
_cell_angle_beta 90.00
_cell_angle_gamma 90.00
_symmetry_space_group_name_H-M 'P 4/n m m'
_symmetry_Int_Tables_number 129
loop_
_symmetry_equiv_pos_as_xyz
'x,y,z'
'-x,-y,-z'
'-y+1/2,x,z'
'y+1/2,-x,-z'
'-x+1/2,-y+1/2,z'
'x+1/2,y+1/2,-z'
'y,-x+1/2,z'
'-y,x+1/2,-z'
'x+1/2,-y,-z'
'-x+1/2,y,z'
'-y,-x,-z'
'y,x,z'
'-x,y+1/2,-z'
'x,-y+1/2,z'
'y+1/2,x+1/2,-z'
'-y+1/2,-x+1/2,z'
loop_
_atom_site_label
_atom_site_type_symbol
_atom_site_fract_x
_atom_site_fract_y
_atom_site_fract_z
_atom_site_occupancy
Sc1 Sc 0.2500 0.2500 0.2268 1
Se1 Se 0.2500 0.2500 0.8733 1
Se2 Se 0.2500 0.7500 0.5000 1
# - energy relative to the elements (eV per atom) = -1.584
# - MP2020-corrected energy (eV per cell) = -36.16
# - M_tot (μB/cell) = 0.00